Density functional theory data (PBE) for an optimized crystal structure of RbGaH2.

Results
space-group type = Pnma
energy of formation from the pure elements = -28.9 kJ per mole of atoms

Cell: 7.4817 4.5426 9.5296 Å, 90.00 90.00 90.00°
Last column: nearest neighbours and their distance in Å.
Atoms (fractional coordinates):
Rb  0.1188  0.2500  0.1734  8 H 2.94-3.17
Rb  0.3812  0.7500  0.6734  8 H 2.94-3.17
Rb  0.6188  0.2500  0.3266  8 H 2.94-3.17
Rb  0.8812  0.7500  0.8266  8 H 2.94-3.17
Ga  0.0644  0.2500  0.5345  2 H 1.67-1.69
Ga  0.4356  0.7500  0.0345  2 H 1.67-1.69
Ga  0.5644  0.2500  0.9655  2 H 1.67-1.69
Ga  0.9356  0.7500  0.4655  2 H 1.67-1.69
H  0.1037  0.2500  0.7069  1 Ga 1.67
H  0.2204  0.7500  0.9815  1 Ga 1.69
H  0.2796  0.2500  0.4815  1 Ga 1.69
H  0.3963  0.7500  0.2069  1 Ga 1.67
H  0.6037  0.2500  0.7931  1 Ga 1.67
H  0.7204  0.7500  0.5185  1 Ga 1.69
H  0.7796  0.2500  0.0185  1 Ga 1.69
H  0.8963  0.7500  0.2931  1 Ga 1.67